# 1
The following is a PBE+U calculation of an optimized crystal structure of LiFeS2O8, from Materials Project.

Properties
- Energy relative to the lowest polymorph listed for this composition: 0.008 eV per atom
- DFT formation energy: -1.9423 eV/atom
- SG: P1 (1)
- Magnetization: 5.001 μB/f.u.

a = 8.397 Å, b = 8.405 Å, c = 8.930 Å
α = 62.28°, β = 62.42°, γ = 60.22°
Sites, in units of the cell vectors:
Li  0.000  0.000  0.000
Li  0.184  0.585  0.305
Li  0.591  0.665  0.999
Fe  0.471  0.879  0.441
Fe  0.675  0.093  0.813
Fe  0.993  0.391  0.909
S  0.080  0.193  0.617
S  0.285  0.987  0.118
S  0.369  0.490  0.615
S  0.580  0.276  0.115
S  0.786  0.776  0.618
S  0.869  0.696  0.121
O  0.061  0.609  0.136
O  0.102  0.200  0.775
O  0.125  0.342  0.457
O  0.162  0.194  0.067
O  0.179  0.517  0.763
O  0.197  0.868  0.127
O  0.210  0.995  0.604
O  0.313  0.935  0.289
O  0.342  0.533  0.451
O  0.451  0.618  0.604
O  0.467  0.472  0.126
O  0.481  0.947  0.979
O  0.499  0.285  0.670
O  0.528  0.130  0.286
O  0.548  0.256  0.975
O  0.588  0.856  0.605
O  0.715  0.725  0.288
O  0.792  0.238  0.068
O  0.795  0.590  0.774
O  0.802  0.910  0.672
O  0.832  0.574  0.067
O  0.850  0.890  0.978
O  0.877  0.211  0.669
O  0.935  0.744  0.457

***

# 2
The following is a PBE+U calculation of an optimized crystal structure of SrCaNi4O12, from Materials Project.

Properties
- DFT formation energy: -0.8756 eV/atom
- SG: P4/mmm (123)
- Magnetization: 12.483 μB/f.u.

a = 5.397 Å, b = 5.397 Å, c = 7.615 Å
α = 90.00°, β = 90.00°, γ = 90.00°
Sites, in units of the cell vectors:
Sr  0.000  0.000  0.000
Ca  0.500  0.500  0.500
Ni  0.000  0.500  0.251
Ni  0.000  0.500  0.749
Ni  0.500  0.000  0.251
Ni  0.500  0.000  0.749
O  0.000  0.500  0.000
O  0.000  0.500  0.500
O  0.256  0.256  0.257
O  0.256  0.256  0.743
O  0.256  0.744  0.257
O  0.256  0.744  0.743
O  0.500  0.000  0.000
O  0.500  0.000  0.500
O  0.744  0.256  0.257
O  0.744  0.256  0.743
O  0.744  0.744  0.257
O  0.744  0.744  0.743

***

# 3
The following is a PBE+U calculation of an optimized crystal structure of LiCaCoF6, from Materials Project.

Properties
- DFT formation energy: -3.0804 eV/atom
- SG: P-31c (163)
- Magnetization: 4.000 μB/f.u.

a = 5.101 Å, b = 5.101 Å, c = 9.815 Å
α = 90.00°, β = 90.00°, γ = 120.00°
Sites, in units of the cell vectors:
Li  0.333  0.667  0.250
Li  0.667  0.333  0.750
Ca  0.000  0.000  0.000
Ca  0.000  0.000  0.500
Co  0.333  0.667  0.750
Co  0.667  0.333  0.250
F  0.026  0.371  0.642
F  0.026  0.654  0.858
F  0.346  0.371  0.858
F  0.346  0.974  0.642
F  0.371  0.026  0.142
F  0.371  0.346  0.358
F  0.629  0.654  0.642
F  0.629  0.974  0.858
F  0.654  0.026  0.358
F  0.654  0.629  0.142
F  0.974  0.346  0.142
F  0.974  0.629  0.358

***

# 4
The following is a PBE+U calculation of an optimized crystal structure of Sr3MgV2O8, from Materials Project.

Properties
- Energy relative to the lowest polymorph listed for this composition: 0.066 eV per atom
- DFT formation energy: -2.8456 eV/atom
- SG: Cm (8)
- Magnetization: 0.000 μB/f.u.

a = 6.716 Å, b = 6.716 Å, c = 8.418 Å
α = 128.29°, β = 128.29°, γ = 51.90°
Sites, in units of the cell vectors:
Sr  0.000  0.000  0.000
Sr  0.540  0.540  0.308
Sr  0.668  0.668  0.952
Mg  0.904  0.904  0.476
V  0.226  0.226  0.782
V  0.326  0.326  0.486
O  0.067  0.067  0.794
O  0.072  0.072  0.478
O  0.099  0.573  0.979
O  0.386  0.386  0.752
O  0.495  0.967  0.319
O  0.500  0.500  0.551
O  0.573  0.099  0.979
O  0.967  0.495  0.319

***

# 5
The following is a PBE+U calculation of an optimized crystal structure of Li2TiNi2O5, from Materials Project.

Properties
- Energy relative to the lowest polymorph listed for this composition: 0.063 eV per atom
- DFT formation energy: -2.1736 eV/atom
- SG: C2/m (12)
- Magnetization: 4.000 μB/f.u.

a = 7.836 Å, b = 7.836 Å, c = 5.931 Å
α = 101.73°, β = 101.73°, γ = 30.34°
Sites, in units of the cell vectors:
Li  0.000  0.000  0.000
Li  0.000  0.000  0.500
Li  0.195  0.195  0.109
Li  0.805  0.805  0.891
Ti  0.396  0.396  0.188
Ti  0.604  0.604  0.812
Ni  0.200  0.200  0.600
Ni  0.402  0.402  0.699
Ni  0.598  0.598  0.301
Ni  0.800  0.800  0.400
O  0.101  0.101  0.800
O  0.106  0.106  0.310
O  0.306  0.306  0.387
O  0.309  0.309  0.919
O  0.500  0.500  0.000
O  0.500  0.500  0.500
O  0.691  0.691  0.081
O  0.694  0.694  0.613
O  0.894  0.894  0.690
O  0.899  0.899  0.200

***

# 6
The following is a PBE+U calculation of an optimized crystal structure of LiNbCo3P6O24, from Materials Project.

Properties
- Energy relative to the lowest polymorph listed for this composition: 0.017 eV per atom
- DFT formation energy: -2.1887 eV/atom
- SG: P1 (1)
- Magnetization: 3.000 μB/f.u.

a = 8.656 Å, b = 8.661 Å, c = 8.720 Å
α = 119.75°, β = 90.47°, γ = 119.39°
Sites, in units of the cell vectors:
Li  0.000  0.000  0.000
Nb  0.377  0.277  0.636
Co  0.154  0.718  0.858
Co  0.648  0.722  0.361
Co  0.869  0.292  0.143
P  0.043  0.781  0.237
P  0.260  0.506  0.460
P  0.468  0.213  0.973
P  0.553  0.796  0.042
P  0.775  0.515  0.541
P  0.970  0.215  0.751
O  0.027  0.581  0.201
O  0.053  0.801  0.071
O  0.093  0.326  0.274
O  0.135  0.205  0.690
O  0.215  0.640  0.623
O  0.232  0.982  0.402
O  0.285  0.029  0.956
O  0.324  0.391  0.507
O  0.387  0.810  0.013
O  0.417  0.664  0.427
O  0.437  0.185  0.781
O  0.500  0.424  0.130
O  0.508  0.574  0.877
O  0.585  0.822  0.230
O  0.612  0.358  0.576
O  0.640  0.205  0.999
O  0.711  0.633  0.499
O  0.738  0.972  0.050
O  0.779  0.024  0.594
O  0.814  0.375  0.378
O  0.880  0.792  0.295
O  0.940  0.690  0.726
O  0.964  0.194  0.917
O  0.995  0.422  0.795

***

# 7
The following is a PBE+U calculation of an optimized crystal structure of Ba2CoSe2Cl2O6, from Materials Project.

Properties
- DFT formation energy: -2.0003 eV/atom

a = 8.779 Å, b = 8.779 Å, c = 14.031 Å
α = 76.07°, β = 76.07°, γ = 103.32°
Sites, in units of the cell vectors:
Se  0.587  0.341  0.573
Se  0.591  0.337  0.073
Se  0.087  0.841  0.573
Se  0.913  0.159  0.427
Se  0.909  0.163  0.927
Se  0.413  0.659  0.427
Se  0.091  0.837  0.073
Se  0.409  0.663  0.927
O  0.975  0.375  0.392
O  0.475  0.875  0.392
O  0.733  0.133  0.392
O  0.119  0.707  0.174
O  0.875  0.775  0.108
O  0.457  0.369  0.674
O  0.525  0.125  0.608
O  0.117  0.017  0.108
O  0.267  0.867  0.608
O  0.625  0.725  0.892
O  0.767  0.367  0.608
O  0.957  0.869  0.674
O  0.043  0.131  0.326
O  0.375  0.275  0.108
O  0.883  0.983  0.892
O  0.881  0.293  0.826
O  0.233  0.633  0.392
O  0.381  0.793  0.826
O  0.125  0.225  0.892
O  0.617  0.517  0.108
O  0.619  0.207  0.174
O  0.543  0.631  0.326
O  0.025  0.625  0.608
O  0.383  0.483  0.892
Ba  0.783  0.985  0.231
Ba  0.283  0.485  0.231
Ba  0.235  0.533  0.731
Ba  0.717  0.515  0.769
Ba  0.765  0.467  0.269
Ba  0.217  0.015  0.769
Ba  0.265  0.967  0.269
Ba  0.735  0.033  0.731
Cl  0.392  0.210  0.397
Cl  0.608  0.790  0.603
Cl  0.460  0.142  0.897
Cl  0.540  0.858  0.103
Cl  0.960  0.642  0.897
Cl  0.040  0.358  0.103
Cl  0.108  0.290  0.603
Cl  0.892  0.710  0.397
Co  0.000  0.500  0.500
Co  0.250  0.250  0.000
Co  0.750  0.750  0.000
Co  0.500  0.000  0.500